Record 1
VASP calculation (PBE) on a relaxed SmNi2Sn2 crystal.

Calculated values
Formation enthalpy at 0 K: -0.519 eV per atom
VASP energy: -53.78 eV for the cell shown

Lattice parameters (Å, degrees): 4.446 4.446 10.062 90.00 90.00 90.00
Positions (direct):
Sm1 0.000 0.500 0.239
Sm2 0.500 0.000 0.761
Ni1 0.000 0.000 0.000
Ni2 0.500 0.500 0.000
Ni3 0.000 0.500 0.627
Ni4 0.500 0.000 0.373
Sn1 0.000 0.000 0.500
Sn2 0.500 0.500 0.500
Sn3 0.000 0.500 0.873
Sn4 0.500 0.000 0.127

=====

Record 2
VASP calculation (PBE) on a relaxed TbS2 crystal.

Calculated values
Formation enthalpy at 0 K: -2.003 eV per atom
VASP energy: -35.82 eV for the cell shown

Lattice parameters (Å, degrees): 3.870 3.870 8.004 90.00 90.00 90.00
Positions (direct):
Tb1 0.000 0.500 0.274
Tb2 0.500 0.000 0.726
S1 0.000 0.000 0.000
S2 0.500 0.500 0.000
S3 0.500 0.000 0.368
S4 0.000 0.500 0.632

=====

Record 3
VASP calculation (PBE) on a relaxed MgTi2O2F4 crystal.

Calculated values
Formation enthalpy at 0 K: -3.182 eV per atom
VASP energy: -60.36 eV for the cell shown

Lattice parameters (Å, degrees): 3.890 3.890 8.005 90.00 90.00 90.00
Positions (direct):
Mg1 0.500 0.500 0.750
Ti1 0.000 0.000 0.002
Ti2 0.000 0.000 0.498
O1 0.500 0.000 0.935
O2 0.000 0.500 0.565
F1 0.500 0.000 0.514
F2 0.000 0.500 0.986
F3 0.000 0.000 0.250
F4 0.000 0.000 0.750

=====

Record 4
VASP calculation (PBE) on a relaxed Te21Mo6I22 crystal.

Calculated values
Formation enthalpy at 0 K: -0.098 eV per atom
VASP energy: -161.06 eV for the cell shown

Lattice parameters (Å, degrees): 11.032 13.181 17.963 83.54 80.53 71.24
Positions (direct):
Te1 0.826 0.995 0.660
Te2 0.537 0.153 0.602
Te3 0.978 0.822 0.897
Te4 0.333 0.325 0.209
Te5 0.393 0.170 0.381
Te6 0.976 0.937 0.521
Te7 0.161 0.539 0.610
Te8 0.856 0.569 0.046
Te9 0.299 0.209 0.537
Te10 0.351 0.181 0.050
Te11 0.655 0.801 0.947
Te12 0.701 0.822 0.458
Te13 0.150 0.425 0.940
Te14 0.873 0.429 0.415
Te15 0.041 0.128 0.488
Te16 0.640 0.823 0.615
Te17 0.609 0.683 0.809
Te18 0.998 0.169 0.074
Te19 0.451 0.858 0.379
Te20 0.664 0.371 0.406
Te21 0.191 0.946 0.359
Mo1 0.837 0.742 0.825
Mo2 0.190 0.380 0.092
Mo3 0.296 0.026 0.458
Mo4 0.708 0.987 0.539
Mo5 0.808 0.599 0.892
Mo6 0.149 0.238 0.152
I1 0.072 0.696 0.723
I2 0.714 0.087 0.399
I3 0.226 0.603 0.961
I4 0.421 0.327 0.861
I5 0.465 0.557 0.380
I6 0.571 0.161 0.156
I7 0.122 0.957 0.126
I8 0.104 0.533 0.201
I9 0.081 0.636 0.477
I10 0.191 0.207 0.703
I11 0.133 0.177 0.920
I12 0.868 0.793 0.074
I13 0.753 0.826 0.280
I14 0.903 0.406 0.566
I15 0.915 0.441 0.798
I16 0.849 0.038 0.861
I17 0.397 0.897 0.914
I18 0.594 0.549 0.702
I19 0.580 0.658 0.129
I20 0.773 0.389 0.024
I21 0.322 0.923 0.594
I22 0.911 0.255 0.238

=====

Record 5
VASP calculation (PBE) on a relaxed NbO2 crystal.

Calculated values
Formation enthalpy at 0 K: -2.638 eV per atom
VASP energy: -902.26 eV for the cell shown

Lattice parameters (Å, degrees): 11.309 11.243 11.594 87.96 92.60 87.55
Positions (direct):
Nb1 0.498 0.700 0.357
Nb2 0.864 0.081 0.600
Nb3 0.997 0.659 0.168
Nb4 0.278 0.727 0.044
Nb5 0.554 0.651 0.087
Nb6 0.419 0.166 0.253
Nb7 0.793 0.607 0.850
Nb8 0.237 0.418 0.119
Nb9 0.186 0.970 0.051
Nb10 0.987 0.194 0.393
Nb11 0.161 0.131 0.795
Nb12 0.431 0.883 0.173
Nb13 0.372 0.464 0.425
Nb14 0.546 0.398 0.249
Nb15 0.425 0.034 0.881
Nb16 0.704 0.326 0.544
Nb17 0.695 0.859 0.011
Nb18 0.332 0.925 0.367
Nb19 0.668 0.149 0.163
Nb20 0.407 0.243 0.722
Nb21 0.936 0.299 0.791
Nb22 0.180 0.679 0.451
Nb23 0.201 0.844 0.741
Nb24 0.912 0.985 0.204
Nb25 0.156 0.426 0.596
Nb26 0.420 0.788 0.655
Nb27 0.701 0.370 0.995
Nb28 0.935 0.877 0.821
Nb29 0.898 0.380 0.159
Nb30 0.760 0.755 0.559
Nb31 0.533 0.054 0.579
Nb32 0.580 0.489 0.676
Nb33 0.336 0.548 0.836
Nb34 0.964 0.503 0.451
O1 0.225 0.270 0.723
O2 0.383 0.141 0.588
O3 0.924 0.610 0.942
O4 0.077 0.590 0.558
O5 0.450 0.053 0.403
O6 0.034 0.810 0.705
O7 0.483 0.545 0.532
O8 0.436 0.207 0.890
O9 0.054 0.618 0.327
O10 0.841 0.211 0.460
O11 0.013 0.406 0.700
O12 0.851 0.394 0.902
O13 0.158 0.623 0.105
O14 0.058 0.232 0.898
O15 0.580 0.586 0.250
O16 0.812 0.923 0.553
O17 0.644 0.753 0.433
O18 0.070 0.408 0.138
O19 0.678 0.206 0.996
O20 0.839 0.002 0.761
O21 0.185 0.846 0.400
O22 0.302 0.263 0.148
O23 0.247 0.835 0.172
O24 0.924 0.814 0.203
O25 0.256 0.089 0.940
O26 0.188 0.008 0.684
O27 0.457 0.651 0.751
O28 0.071 0.326 0.461
O29 0.419 0.635 0.981
O30 0.603 0.815 0.153
O31 0.943 0.225 0.227
O32 0.872 0.673 0.483
O33 0.872 0.556 0.181
O34 0.249 0.745 0.606
O35 0.772 0.075 0.280
O36 0.631 0.377 0.401
O37 0.530 0.099 0.745
O38 0.297 0.034 0.210
O39 0.519 0.055 0.156
O40 0.020 0.032 0.317
O41 0.836 0.438 0.521
O42 0.567 0.891 0.624
O43 0.237 0.716 0.870
O44 0.687 0.677 0.970
O45 0.688 0.622 0.652
O46 0.007 0.070 0.522
O47 0.421 0.815 0.478
O48 0.757 0.998 0.089
O49 0.440 0.421 0.766
O50 0.428 0.304 0.356
O51 0.863 0.840 0.962
O52 0.714 0.324 0.188
O53 0.357 0.899 0.999
O54 0.329 0.641 0.373
O55 0.661 0.480 0.839
O56 0.099 0.937 0.884
O57 0.670 0.137 0.552
O58 0.995 0.143 0.718
O59 0.276 0.451 0.964
O60 0.824 0.749 0.752
O61 0.317 0.367 0.553
O62 0.354 0.474 0.231
O63 0.025 0.012 0.087
O64 0.583 0.934 0.915
O65 0.804 0.246 0.686
O66 0.385 0.909 0.769
O67 0.221 0.519 0.728
O68 0.575 0.467 0.069

=====

Record 6
VASP calculation (PBE) on a relaxed Cs2Ni3S4 crystal.

Calculated values
Formation enthalpy at 0 K: -0.962 eV per atom
VASP energy: -42.32 eV for the cell shown

Lattice parameters (Å, degrees): 5.882 5.882 7.930 101.03 101.03 118.95
Positions (direct):
Cs1 0.661 0.661 0.322
Cs2 0.339 0.339 0.678
Ni1 0.000 0.000 0.000
Ni2 0.000 0.500 0.000
Ni3 0.500 0.000 0.000
S1 0.736 0.071 0.807
S2 0.929 0.264 0.193
S3 0.071 0.736 0.807
S4 0.264 0.929 0.193